{
  "formula": "In3Au",
  "functional": "GGA-PBE",
  "state": "relaxed",
  "formation_enthalpy_0k_kj_per_mol_fu": -3,
  "e_tot_ev_per_atom": -2.891,
  "m_tot_mub_per_cell": 0.0,
  "sg": "No. 139",
  "rho_g_cm3": 9.2,
  "lattice": [[1.4946, 3.4989, 4.3810], [-1.1745, 5.6014, -0.9565], [-3.0265, -4.9321, -0.4293]],
  "species": ["In", "In", "In", "Au"],
  "fractional_positions": [[0.5000, 0.5000, 0.0000], [0.2500, 0.7500, 0.5000], [0.7500, 0.2500, 0.5000], [0.0000, 0.0000, 0.0000]]
}